Computed, not measured: an optimized crystal structure of Cd3As2 at the GGA-PBE level of DFT.

## Properties
magnetization: 0.00 μB per formula unit

a = 6.4798 Å, b = 6.4798 Å, c = 6.4798 Å
α = 90.00°, β = 90.00°, γ = 90.00°
Closest atoms and distances in Å follow each position.
Atoms (fractional coordinates):
Cd  0.2500  0.2500  0.7500  4 As 2.81
Cd  0.2500  0.7500  0.2500  4 As 2.81
Cd  0.2500  0.7500  0.7500  4 As 2.81
Cd  0.7500  0.2500  0.2500  4 As 2.81
Cd  0.7500  0.2500  0.7500  4 As 2.81
Cd  0.7500  0.7500  0.2500  4 As 2.81
As  0.0000  0.0000  0.0000  6 Cd 2.81
As  0.0000  0.5000  0.5000  6 Cd 2.81
As  0.5000  0.0000  0.5000  6 Cd 2.81
As  0.5000  0.5000  0.0000  6 Cd 2.81


Computed, not measured: an optimized crystal structure of CdAs3 at the GGA-PBE level of DFT.

## Properties
magnetization: 0.00 μB per formula unit

a = 6.1525 Å, b = 6.1525 Å, c = 4.9956 Å
α = 90.00°, β = 90.00°, γ = 120.00°
Closest atoms and distances in Å follow each position.
Atoms (fractional coordinates):
Cd  0.3333  0.6667  0.2500  12 As 3.07-3.08
Cd  0.6667  0.3333  0.7500  12 As 3.07-3.08
As  0.1659  0.3318  0.7500  8 As 3.06-3.09, 4 Cd 3.07-3.08
As  0.1659  0.8341  0.7500  8 As 3.06-3.09, 4 Cd 3.07-3.08
As  0.3318  0.1659  0.2500  8 As 3.06-3.09, 4 Cd 3.07-3.08
As  0.6682  0.8341  0.7500  8 As 3.06-3.09, 4 Cd 3.07-3.08
As  0.8341  0.1659  0.2500  8 As 3.06-3.09, 4 Cd 3.07-3.08
As  0.8341  0.6682  0.2500  8 As 3.06-3.09, 4 Cd 3.07-3.08


Computed, not measured: an optimized crystal structure of CdAs2 at the GGA-PBE level of DFT.

## Properties
piezoelectric modulus e_max: 0.4 C/m2

a = 6.2408 Å, b = 6.2408 Å, c = 6.2408 Å
α = 98.39°, β = 98.39°, γ = 135.09°
Closest atoms and distances in Å follow each position.
Atoms (fractional coordinates):
Cd  0.0000  0.0000  0.0000  4 As 2.76
Cd  0.7500  0.2500  0.5000  4 As 2.76
As  0.3131  0.6250  0.1881  2 As 2.48, 2 Cd 2.76
As  0.3750  0.6869  0.8119  2 As 2.48, 2 Cd 2.76
As  0.4369  0.1250  0.8119  2 As 2.48, 2 Cd 2.76
As  0.8750  0.5631  0.1881  2 As 2.48, 2 Cd 2.76


Quick rundown of E_tot, same order as above: -2.35; -3.35; -3.49 eV per atom
Quick rundown of ΔH_f (0 K), same order as above: 69; 378; -81 meV per atom